# Cs3TlO3

A geometry-optimized Cs3TlO3 structure (meta-GGA r2SCAN, the Materials Project database).

Properties
energy relative to the lowest polymorph listed for this composition	0.00	eV per formula unit
mass density	5.9	g/cm3
energy	-619.75	eV/cell
DFT formation energy	-1.22	eV per atom

The structure in CIF format:
```
data_Cs3TlO3
_symmetry_space_group_name_H-M 'P 1 21/c 1'
_symmetry_Int_Tables_number 14
_cell_length_a 8.296
_cell_length_b 7.373
_cell_length_c 11.955
_cell_angle_alpha 90.00
_cell_angle_beta 94.81
_cell_angle_gamma 90.00
loop_
_symmetry_equiv_pos_as_xyz
'x,y,z'
'-x,-y,-z'
'-x,y+1/2,-z+1/2'
'x,-y+1/2,z+1/2'
loop_
_atom_site_label
_atom_site_type_symbol
_atom_site_fract_x
_atom_site_fract_y
_atom_site_fract_z
_atom_site_occupancy
Cs1 Cs 0.048 0.126 0.155 1
Cs2 Cs 0.352 0.175 0.928 1
Cs3 Cs 0.372 0.684 0.807 1
Tl1 Tl 0.162 0.589 0.069 1
O1 O 0.101 0.045 0.402 1
O2 O 0.253 0.647 0.537 1
O3 O 0.298 0.065 0.694 1
```


# Cs2UO4

A geometry-optimized Cs2UO4 structure (meta-GGA r2SCAN, the Materials Project database).

Properties
mass density	6.5	g/cm3
energy	-348.32	eV/cell
DFT formation energy	-2.87	eV per atom

The structure in CIF format:
```
data_Cs2UO4
_symmetry_space_group_name_H-M 'I 4/m m m'
_symmetry_Int_Tables_number 139
_symmetry_space_group_name_Hall '-I 4 2'
_cell_length_a 4.393
_cell_length_b 4.393
_cell_length_c 14.948
_cell_angle_alpha 90.00
_cell_angle_beta 90.00
_cell_angle_gamma 90.00
loop_
_atom_site_label
_atom_site_type_symbol
_atom_site_fract_x
_atom_site_fract_y
_atom_site_fract_z
_atom_site_occupancy
Cs1 Cs 0.000 0.000 0.157 1
U1 U 0.000 0.000 0.500 1
O1 O 0.000 0.000 0.371 1
O2 O 0.000 0.500 0.000 1
```


# CsU2O6

A geometry-optimized CsU2O6 structure (meta-GGA r2SCAN, the Materials Project database).

Properties
mass density	6.7	g/cm3
energy	-1002.45	eV/cell
DFT formation energy	-3.31	eV per atom

The structure in CIF format:
```
data_CsU2O6
_symmetry_space_group_name_H-M 'I m m a'
_symmetry_Int_Tables_number 74
_symmetry_space_group_name_Hall '-I 2b 2'
_cell_length_a 7.862
_cell_length_b 7.962
_cell_length_c 11.184
_cell_angle_alpha 90.00
_cell_angle_beta 90.00
_cell_angle_gamma 90.00
loop_
_atom_site_label
_atom_site_type_symbol
_atom_site_fract_x
_atom_site_fract_y
_atom_site_fract_z
_atom_site_occupancy
Cs1 Cs 0.000 0.250 0.124 1
U1 U 0.000 0.000 0.500 1
U2 U 0.250 0.250 0.750 1
O1 O 0.000 0.250 0.438 1
O2 O 0.000 0.250 0.818 1
O3 O 0.187 0.055 0.623 1
```


# Cs2V4O9

A geometry-optimized Cs2V4O9 structure (meta-GGA r2SCAN, the Materials Project database).

Properties
mass density	4.1	g/cm3
energy	-795.94	eV/cell
DFT formation energy	-2.58	eV per atom

The structure in CIF format:
```
data_Cs2V4O9
_symmetry_space_group_name_H-M 'I -4 2 d'
_symmetry_Int_Tables_number 122
_symmetry_space_group_name_Hall 'I -4 2bw'
_cell_length_a 5.731
_cell_length_b 5.731
_cell_length_c 30.521
_cell_angle_alpha 90.00
_cell_angle_beta 90.00
_cell_angle_gamma 90.00
loop_
_atom_site_label
_atom_site_type_symbol
_atom_site_fract_x
_atom_site_fract_y
_atom_site_fract_z
_atom_site_occupancy
Cs1 Cs 0.230 0.250 0.125 1
V1 V 0.147 0.713 0.524 1
O1 O 0.000 0.000 0.500 1
O2 O 0.120 0.681 0.983 1
O3 O 0.223 0.733 0.675 1
```


# CsVO3

A geometry-optimized CsVO3 structure (meta-GGA r2SCAN, the Materials Project database).

Properties
mass density	4.0	g/cm3
energy	-278.84	eV/cell
DFT formation energy	-2.52	eV per atom

The structure in CIF format:
```
data_CsVO3
_symmetry_space_group_name_H-M 'P b c m'
_symmetry_Int_Tables_number 57
_cell_length_a 5.451
_cell_length_b 12.271
_cell_length_c 5.794
_cell_angle_alpha 90.00
_cell_angle_beta 90.00
_cell_angle_gamma 90.00
loop_
_symmetry_equiv_pos_as_xyz
'x,y,z'
'-x,-y,-z'
'-x,-y,z+1/2'
'x,y,-z+1/2'
'x,-y+1/2,-z'
'-x,y+1/2,z'
'-x,y+1/2,-z+1/2'
'x,-y+1/2,z+1/2'
loop_
_atom_site_label
_atom_site_type_symbol
_atom_site_fract_x
_atom_site_fract_y
_atom_site_fract_z
_atom_site_occupancy
Cs1 Cs 0.083 0.097 0.250 1
V1 V 0.451 0.672 0.750 1
O1 O 0.150 0.653 0.750 1
O2 O 0.409 0.053 0.750 1
O3 O 0.457 0.250 0.000 1
```


# CsV2O5

A geometry-optimized CsV2O5 structure (meta-GGA r2SCAN, the Materials Project database).

Properties
mass density	3.8	g/cm3
energy	-414.86	eV/cell
DFT formation energy	-2.57	eV per atom

The structure in CIF format:
```
data_CsV2O5
_symmetry_space_group_name_H-M 'P 1 21/c 1'
_symmetry_Int_Tables_number 14
_cell_length_a 7.194
_cell_length_b 9.827
_cell_length_c 7.789
_cell_angle_alpha 90.00
_cell_angle_beta 90.87
_cell_angle_gamma 90.00
loop_
_symmetry_equiv_pos_as_xyz
'x,y,z'
'-x,-y,-z'
'-x,y+1/2,-z+1/2'
'x,-y+1/2,z+1/2'
loop_
_atom_site_label
_atom_site_type_symbol
_atom_site_fract_x
_atom_site_fract_y
_atom_site_fract_z
_atom_site_occupancy
Cs1 Cs 0.107 0.123 0.227 1
V1 V 0.376 0.706 0.512 1
V2 V 0.385 0.024 0.665 1
O1 O 0.165 0.680 0.584 1
O2 O 0.176 0.078 0.619 1
O3 O 0.385 0.629 0.311 1
O4 O 0.431 0.613 0.978 1
O5 O 0.457 0.133 0.858 1
```


# Cs2V4O9

A geometry-optimized Cs2V4O9 structure (meta-GGA r2SCAN, the Materials Project database).

Properties
mass density	4.1	g/cm3
energy	-397.99	eV/cell
DFT formation energy	-2.58	eV per atom

The structure in CIF format:
```
data_Cs2V4O9
_symmetry_space_group_name_H-M 'P 42/m'
_symmetry_Int_Tables_number 84
_cell_length_a 5.732
_cell_length_b 5.732
_cell_length_c 15.272
_cell_angle_alpha 90.00
_cell_angle_beta 90.00
_cell_angle_gamma 90.00
loop_
_symmetry_equiv_pos_as_xyz
'x,y,z'
'-x,-y,-z'
'-y,x,z+1/2'
'y,-x,-z+1/2'
'-x,-y,z'
'x,y,-z'
'y,-x,z+1/2'
'-y,x,-z+1/2'
loop_
_atom_site_label
_atom_site_type_symbol
_atom_site_fract_x
_atom_site_fract_y
_atom_site_fract_z
_atom_site_occupancy
Cs1 Cs 0.230 0.248 0.000 1
V1 V 0.212 0.353 0.298 1
O1 O 0.120 0.681 0.284 1
O2 O 0.267 0.277 0.400 1
O3 O 0.500 0.500 0.250 1
```


# Cs2V3O8

A geometry-optimized Cs2V3O8 structure (meta-GGA r2SCAN, the Materials Project database).

Properties
mass density	3.8	g/cm3
energy	-347.07	eV/cell
DFT formation energy	-2.56	eV per atom

The structure in CIF format:
```
data_Cs2V3O8
_symmetry_space_group_name_H-M 'P 4 b m'
_symmetry_Int_Tables_number 100
_cell_length_a 8.925
_cell_length_b 8.925
_cell_length_c 6.073
_cell_angle_alpha 90.00
_cell_angle_beta 90.00
_cell_angle_gamma 90.00
loop_
_symmetry_equiv_pos_as_xyz
'x,y,z'
'-y,x,z'
'-x,-y,z'
'y,-x,z'
'-x+1/2,y+1/2,z'
'y+1/2,x+1/2,z'
'x+1/2,-y+1/2,z'
'-y+1/2,-x+1/2,z'
loop_
_atom_site_label
_atom_site_type_symbol
_atom_site_fract_x
_atom_site_fract_y
_atom_site_fract_z
_atom_site_occupancy
Cs1 Cs 0.171 0.329 0.000 1
V1 V 0.000 0.000 0.527 1
V2 V 0.133 0.633 0.522 1
O1 O 0.000 0.000 0.260 1
O2 O 0.000 0.500 0.630 1
O3 O 0.083 0.808 0.621 1
O4 O 0.129 0.629 0.251 1
```